No. 1
Computed, not measured: crystalline Li2MnVP2O8 at its relaxed geometry at the GGA+U level of DFT.

Summary:
formation energy: -2635 meV per atom
final energy: -7.18 eV/atom
space group: P2_1/m, No. 11

a = 4.7858 Å, b = 6.1437 Å, c = 10.5567 Å
α = 90.00°, β = 90.10°, γ = 90.00°
Fractional positions:
1 Li 0.0000 0.0000 0.0000
2 Li 0.0000 0.5000 0.0000
3 Li 0.5000 0.0000 0.5000
4 Li 0.5000 0.5000 0.5000
5 Mn 0.0234 0.2500 0.7224
6 Mn 0.9766 0.7500 0.2776
7 V 0.4796 0.2500 0.2230
8 V 0.5204 0.7500 0.7770
9 P 0.0888 0.7500 0.5931
10 P 0.4113 0.7500 0.0896
11 P 0.5887 0.2500 0.9104
12 P 0.9112 0.2500 0.4069
13 O 0.2078 0.7500 0.4563
14 O 0.2239 0.5486 0.6624
15 O 0.2239 0.9514 0.6624
16 O 0.2325 0.2500 0.4024
17 O 0.2678 0.2500 0.9049
18 O 0.2775 0.5485 0.1588
19 O 0.2775 0.9515 0.1588
20 O 0.2895 0.7500 0.9529
21 O 0.7105 0.2500 0.0471
22 O 0.7225 0.0485 0.8412
23 O 0.7225 0.4515 0.8412
24 O 0.7322 0.7500 0.0951
25 O 0.7675 0.7500 0.5976
26 O 0.7761 0.0486 0.3376
27 O 0.7761 0.4514 0.3376
28 O 0.7922 0.2500 0.5437

***

No. 2
Computed, not measured: crystalline Rb3ErV2O8 at its relaxed geometry at the GGA+U level of DFT.

Summary:
formation energy: -2726 meV per atom
final energy: -6.75 eV/atom
space group: P-3m1, No. 164

a = 6.0688 Å, b = 6.0688 Å, c = 7.9299 Å
α = 90.00°, β = 90.00°, γ = 120.00°
Fractional positions:
1 Rb 0.0000 0.0000 0.0000
2 Rb 0.3333 0.6667 0.6958
3 Rb 0.6667 0.3333 0.3042
4 Er 0.0000 0.0000 0.5000
5 V 0.3333 0.6667 0.2584
6 V 0.6667 0.3333 0.7416
7 O 0.1746 0.3493 0.3338
8 O 0.1746 0.8254 0.3338
9 O 0.3333 0.6667 0.0461
10 O 0.3493 0.1746 0.6662
11 O 0.6507 0.8254 0.3338
12 O 0.6667 0.3333 0.9539
13 O 0.8254 0.1746 0.6662
14 O 0.8254 0.6507 0.6662

***

No. 3
Computed, not measured: crystalline CaMn2O5 at its relaxed geometry at the GGA+U level of DFT.

Summary:
formation energy: -1988 meV per atom
final energy: -6.77 eV/atom
distance to the lowest polymorph of the same formula: 0.90 eV per formula unit
space group: Cmcm, No. 63

a = 5.7473 Å, b = 5.7473 Å, c = 11.3941 Å
α = 90.00°, β = 90.00°, γ = 141.37°
Fractional positions:
1 Ca 0.0950 0.9050 0.7500
2 Ca 0.9050 0.0950 0.2500
3 Mn 0.2114 0.7886 0.0961
4 Mn 0.2114 0.7886 0.4039
5 Mn 0.7886 0.2114 0.5961
6 Mn 0.7886 0.2114 0.9039
7 O 0.0558 0.9442 0.1200
8 O 0.0558 0.9442 0.3800
9 O 0.2438 0.7562 0.5752
10 O 0.2438 0.7562 0.9248
11 O 0.2819 0.7181 0.2500
12 O 0.7181 0.2819 0.7500
13 O 0.7562 0.2438 0.0752
14 O 0.7562 0.2438 0.4248
15 O 0.9442 0.0558 0.6200
16 O 0.9442 0.0558 0.8800